Li4Ti3V3Sb2O16 | PBE+U | relaxed

**Energy of formation**: -2.6364 eV/atom
**Energy above the lowest structure with this stoichiometry**: 18.8 meV per atom

Unit cell a=5.9446 b=5.9446 c=10.4923 alpha=89.79 beta=89.79 gamma=59.89
Sites, in units of the cell vectors:
1 Li 0.6697 0.6697 0.9015
2 Li 0.9961 0.9961 0.9889
3 Li 0.0026 0.0026 0.4981
4 Li 0.3349 0.3349 0.3887
5 Ti 0.3398 0.8304 0.2168
6 Ti 0.8304 0.3398 0.2168
7 Ti 0.1734 0.1734 0.7269
8 V 0.8260 0.8260 0.2128
9 V 0.1850 0.6457 0.7196
10 V 0.6457 0.1850 0.7196
11 Sb 0.6724 0.6724 0.5162
12 Sb 0.3335 0.3335 0.0044
13 O 0.3198 0.8400 0.6104
14 O 0.5099 0.5099 0.3123
15 O 0.6599 0.6599 0.1063
16 O 0.0018 0.0018 0.3116
17 O 0.0006 0.0006 0.8088
18 O 0.8400 0.3198 0.6104
19 O 0.5067 0.9824 0.3114
20 O 0.9824 0.5067 0.3114
21 O 0.1527 0.1527 0.1013
22 O 0.8463 0.8463 0.6156
23 O 0.0268 0.4856 0.8280
24 O 0.4856 0.0268 0.8280
25 O 0.3294 0.3294 0.6081
26 O 0.1482 0.6934 0.1039
27 O 0.4904 0.4904 0.8260
28 O 0.6934 0.1482 0.1039